[1]
The following is a PBE-GGA calculation of KTm2F7 after structural relaxation, from the Materials Project.

Geometry as POSCAR:
```
KTm2F7
1.0
7.139 -3.971 0.000
7.139 3.971 0.000
-6.827 0.000 9.702
K Tm F
4 8 28
direct
0.232 0.232 0.154
0.262 0.262 0.519
0.738 0.738 0.481
0.768 0.768 0.846
0.236 0.761 0.820
0.239 0.764 0.180
0.242 0.242 0.821
0.259 0.741 0.500
0.741 0.259 0.500
0.758 0.758 0.179
0.761 0.236 0.820
0.764 0.239 0.180
0.103 0.103 0.247
0.104 0.104 0.588
0.113 0.113 0.883
0.121 0.643 0.263
0.134 0.669 0.586
0.155 0.500 0.761
0.173 0.504 0.999
0.180 0.820 0.000
0.331 0.866 0.414
0.357 0.879 0.737
0.395 0.395 0.424
0.495 0.495 0.770
0.496 0.827 0.001
0.500 0.155 0.761
0.500 0.845 0.239
0.504 0.173 0.999
0.505 0.505 0.230
0.605 0.605 0.576
0.643 0.121 0.263
0.669 0.134 0.586
0.820 0.180 0.000
0.827 0.496 0.001
0.845 0.500 0.239
0.866 0.331 0.414
0.879 0.357 0.737
0.887 0.887 0.117
0.896 0.896 0.412
0.897 0.897 0.753
```

[2]
The following is a PBE-GGA calculation of Na6Ti2Si5Sn2SO24 after structural relaxation, from the Materials Project.

Geometry as POSCAR:
```
Na6Ti2Si5Sn2SO24
1.0
9.005 0.000 0.000
-4.498 7.808 0.000
-0.001 -0.117 22.241
Na Ti Si Sn S O
18 6 15 6 3 72
direct
0.000 0.000 0.000
0.001 0.639 0.501
0.296 0.955 0.084
0.305 0.333 0.832
0.308 0.604 0.331
0.314 0.989 0.582
0.335 0.667 0.670
0.600 0.934 0.171
0.603 0.298 0.666
0.632 0.625 0.246
0.639 0.635 0.751
0.672 0.328 0.332
0.673 0.967 0.835
0.936 0.600 0.835
0.940 0.973 0.333
0.958 0.283 0.416
0.960 0.309 0.922
0.973 0.936 0.667
0.288 0.957 0.231
0.306 0.954 0.937
0.651 0.663 0.103
0.655 0.640 0.394
0.976 0.313 0.065
0.985 0.302 0.269
0.017 0.674 0.334
0.017 0.969 0.836
0.261 0.303 0.666
0.265 0.593 0.167
0.305 0.675 0.834
0.307 0.259 0.331
0.591 0.256 0.836
0.595 0.969 0.331
0.635 0.340 0.499
0.638 0.938 0.001
0.676 0.007 0.667
0.932 0.634 0.002
0.934 0.931 0.499
0.973 0.591 0.666
0.982 0.019 0.165
0.305 0.969 0.732
0.307 0.982 0.434
0.643 0.632 0.602
0.647 0.639 0.901
0.958 0.289 0.562
0.970 0.298 0.771
0.347 0.346 0.002
0.349 0.636 0.499
0.684 0.306 0.166
0.002 0.143 0.833
0.013 0.512 0.606
0.090 0.928 0.774
0.109 0.809 0.279
0.114 0.816 0.997
0.116 0.930 0.495
0.129 0.489 0.832
0.132 0.259 0.609
0.137 0.490 0.111
0.137 0.747 0.395
0.138 0.997 0.894
0.139 0.286 0.323
0.143 0.782 0.670
0.150 0.997 0.173
0.167 0.475 0.226
0.171 0.324 0.006
0.175 0.479 0.500
0.190 0.345 0.728
0.241 0.134 0.389
0.271 0.772 0.890
0.282 0.133 0.670
0.291 0.787 0.173
0.326 0.789 0.497
0.327 0.173 0.999
0.347 0.164 0.276
0.350 0.790 0.773
0.416 0.442 0.944
0.437 0.622 0.445
0.443 0.655 0.555
0.450 0.476 0.661
0.457 0.440 0.053
0.457 0.613 0.160
0.464 0.949 0.996
0.469 0.931 0.272
0.470 0.148 0.496
0.472 0.651 0.842
0.475 0.451 0.339
0.482 0.188 0.772
0.486 0.987 0.671
0.489 0.122 0.890
0.514 0.144 0.169
0.517 0.019 0.389
0.607 0.418 0.561
0.609 0.446 0.841
0.613 0.796 0.339
0.613 0.813 0.060
0.654 0.817 0.660
0.657 0.467 0.441
0.663 0.457 0.160
0.682 0.855 0.942
0.753 0.137 0.611
0.772 0.280 0.114
0.781 0.273 0.833
0.784 0.329 0.223
0.787 0.137 0.323
0.795 0.078 0.728
0.802 0.828 0.160
0.803 0.613 0.664
0.812 0.827 0.440
0.814 0.122 0.009
0.819 0.661 0.055
0.823 0.347 0.499
0.823 0.592 0.938
0.824 0.799 0.838
0.826 0.660 0.339
0.851 0.818 0.560
0.932 0.472 0.726
0.943 0.106 0.225
0.950 0.119 0.499
0.955 0.467 0.012
0.986 0.482 0.325
0.997 0.133 0.107
```

Computed properties:
Magnetization   0.00 Bohr magnetons per cell

no.,energy of formation from the pure elements (eV/atom)
1,-4.2327
2,-2.7277